No. 1
The following is a PBE with a Hubbard U calculation of crystalline Na2CoO3 at its relaxed geometry, from Materials Project.

The uncorrected energy comes out at -119.0 eV per cell. Its space-group type is C2/c. Its volume is 11.0 Å³/atom. Its formation energy is -1.476 eV/atom.

Unit cell a=5.3403 b=5.3403 c=10.9316 alpha=95.10 beta=95.10 gamma=120.39
Fractional positions:
Na 0.0000 0.5000 0.5000
Na 0.0860 0.9140 0.7500
Na 0.1582 0.3162 0.9997
Na 0.3162 0.1582 0.4997
Na 0.5000 0.0000 0.0000
Na 0.6838 0.8418 0.5003
Na 0.8418 0.6838 0.0003
Na 0.9140 0.0860 0.2500
Co 0.2525 0.7475 0.2500
Co 0.4163 0.5837 0.7500
Co 0.5837 0.4163 0.2500
Co 0.7475 0.2525 0.7500
O 0.0580 0.2628 0.6492
O 0.1205 0.5629 0.8505
O 0.2628 0.0580 0.1492
O 0.3242 0.5115 0.3491
O 0.4371 0.8795 0.6495
O 0.4885 0.6758 0.1509
O 0.5115 0.3242 0.8491
O 0.5629 0.1205 0.3505
O 0.6758 0.4885 0.6509
O 0.7372 0.9420 0.8508
O 0.8795 0.4371 0.1495
O 0.9420 0.7372 0.3508

***

No. 2
The following is a PBE with a Hubbard U calculation of crystalline Na2CoO3 at its relaxed geometry, from Materials Project.

The uncorrected energy comes out at -119.1 eV per cell. Its space-group type is P-1. Its volume is 11.6 Å³/atom. Its formation energy is -1.478 eV/atom.

Unit cell a=5.4183 b=6.3938 c=8.5223 alpha=79.85 beta=85.23 gamma=73.02
Fractional positions:
Na 0.2468 0.2497 0.2496
Na 0.2481 0.7493 0.2501
Na 0.2506 0.9161 0.5689
Na 0.2520 0.5853 0.9300
Na 0.7480 0.4147 0.0700
Na 0.7494 0.0839 0.4311
Na 0.7519 0.2507 0.7499
Na 0.7532 0.7503 0.7504
Co 0.2300 0.4169 0.6050
Co 0.2735 0.0838 0.8928
Co 0.7265 0.9162 0.1072
Co 0.7700 0.5831 0.3950
O 0.0241 0.3071 0.4914
O 0.0570 0.3724 0.8300
O 0.0709 0.9444 0.8392
O 0.4332 0.5566 0.6585
O 0.4474 0.1285 0.6687
O 0.4760 0.1930 0.0093
O 0.5240 0.8070 0.9907
O 0.5526 0.8715 0.3313
O 0.5668 0.4434 0.3415
O 0.9291 0.0556 0.1608
O 0.9430 0.6276 0.1700
O 0.9759 0.6929 0.5086

***

No. 3
The following is a PBE with a Hubbard U calculation of crystalline Na6CoO4 at its relaxed geometry, from Materials Project.

The uncorrected energy comes out at -185.5 eV per cell. Its volume is 13.6 Å³/atom. Its formation energy is -1.447 eV/atom.

Unit cell a=5.8948 b=7.6569 c=13.2625 alpha=90.00 beta=90.00 gamma=90.00
Fractional positions:
Na 0.5364 0.0000 0.1424
Na 0.3682 0.6942 0.2314
Na 0.8681 0.5000 0.9628
Na 0.8682 0.3058 0.7686
Na 0.8681 0.0000 0.4628
Na 0.0364 0.0000 0.8576
Na 0.3681 0.5000 0.0372
Na 0.8681 0.1942 0.2686
Na 0.0364 0.2864 0.5712
Na 0.3681 0.8058 0.7314
Na 0.5364 0.7136 0.4288
Na 0.5364 0.2864 0.4288
Na 0.5364 0.2136 0.9288
Na 0.0364 0.5000 0.3576
Na 0.3681 0.0000 0.5372
Na 0.5364 0.7864 0.9288
Na 0.0364 0.7864 0.0712
Na 0.3681 0.3058 0.2314
Na 0.0364 0.7136 0.5712
Na 0.8682 0.8058 0.2686
Na 0.3682 0.1942 0.7314
Na 0.0364 0.2136 0.0712
Na 0.8681 0.6942 0.7686
Na 0.5364 0.5000 0.6424
O 0.5953 0.5000 0.8333
O 0.6455 0.7841 0.5947
O 0.6456 0.5000 0.3106
O 0.1456 0.7841 0.4053
O 0.1455 0.7159 0.9053
O 0.1455 0.2159 0.4053
O 0.0953 0.0000 0.6667
O 0.1456 0.0000 0.1894
O 0.0953 0.5000 0.1667
O 0.1456 0.5000 0.6894
O 0.6456 0.0000 0.8106
O 0.1456 0.2841 0.9053
O 0.5953 0.0000 0.3333
O 0.6456 0.7159 0.0947
O 0.6455 0.2841 0.0947
O 0.6456 0.2159 0.5947
Co 0.2583 0.0000 0.3333
Co 0.7583 0.0000 0.6667
Co 0.7583 0.5000 0.1667
Co 0.2583 0.5000 0.8333

***

No. 4
The following is a PBE with a Hubbard U calculation of crystalline NaCo2O4 at its relaxed geometry, from Materials Project.

The uncorrected energy comes out at -36.8 eV per cell. Its space-group type is R3m. Its volume is 12.4 Å³/atom. Its formation energy is -1.068 eV/atom.

Unit cell a=11.2557 b=11.2557 c=11.2557 alpha=15.31 beta=15.31 gamma=15.31
Fractional positions:
Na 0.0000 0.0000 0.0000
Co 0.0856 0.0856 0.0856
Co 0.5826 0.5826 0.5826
O 0.2856 0.2856 0.2856
O 0.3842 0.3842 0.3842
O 0.7785 0.7785 0.7785
O 0.8902 0.8902 0.8902

***

No. 5
The following is a PBE with a Hubbard U calculation of crystalline Na2CoO3 at its relaxed geometry, from Materials Project.

The uncorrected energy comes out at -116.9 eV per cell. Its space-group type is Cmce. Its volume is 13.8 Å³/atom. Its formation energy is -1.390 eV/atom.

Unit cell a=5.9276 b=5.9276 c=11.2952 alpha=90.00 beta=90.00 gamma=123.49
Fractional positions:
Na 0.0363 0.9637 0.8550
Na 0.1336 0.8664 0.4215
Na 0.3664 0.6336 0.9215
Na 0.4637 0.5363 0.3550
Na 0.5363 0.4637 0.6450
Na 0.6336 0.3664 0.0785
Na 0.8664 0.1336 0.5785
Na 0.9637 0.0363 0.1450
Co 0.2452 0.7548 0.6589
Co 0.2548 0.7452 0.1589
Co 0.7452 0.2548 0.8411
Co 0.7548 0.2452 0.3411
O 0.0567 0.4433 0.7500
O 0.0792 0.9208 0.6389
O 0.1625 0.8375 0.0287
O 0.3375 0.6625 0.5287
O 0.4208 0.5792 0.1389
O 0.4433 0.0567 0.2500
O 0.5567 0.9433 0.7500
O 0.5792 0.4208 0.8611
O 0.6625 0.3375 0.4713
O 0.8375 0.1625 0.9713
O 0.9208 0.0792 0.3611
O 0.9433 0.5567 0.2500

***

No. 6
The following is a PBE with a Hubbard U calculation of crystalline NaCo2O4 at its relaxed geometry, from Materials Project.

The uncorrected energy comes out at -38.3 eV per cell. Its space-group type is P1. Its volume is 12.1 Å³/atom. Its formation energy is -1.285 eV/atom.

Unit cell a=2.9850 b=5.0929 c=5.9401 alpha=70.69 beta=87.44 gamma=86.31
Fractional positions:
Na 0.0000 0.0000 0.0000
Co 0.5119 0.3501 0.4834
Co 0.9940 0.8323 0.5227
O 0.0670 0.4291 0.6797
O 0.5006 0.9624 0.6882
O 0.5074 0.7438 0.3232
O 0.9444 0.2478 0.3076

***

No. 7
The following is a PBE with a Hubbard U calculation of crystalline Na2Co6O7 at its relaxed geometry, from Materials Project.

The uncorrected energy comes out at -168.2 eV per cell. Its space-group type is P4_2nm. Its volume is 12.8 Å³/atom. Its formation energy is -1.255 eV/atom.

Unit cell a=10.8558 b=10.8558 c=3.2482 alpha=90.00 beta=90.00 gamma=90.00
Fractional positions:
Na 0.1388 0.1388 0.0000
Na 0.3612 0.6388 0.5000
Na 0.6388 0.3612 0.5000
Na 0.8612 0.8612 0.0000
Co 0.0875 0.6550 0.0034
Co 0.1191 0.8809 0.5125
Co 0.1550 0.4125 0.5034
Co 0.3450 0.9125 0.0034
Co 0.3809 0.3809 0.0125
Co 0.4125 0.1550 0.5034
Co 0.5875 0.8450 0.5034
Co 0.6191 0.6191 0.0125
Co 0.6550 0.0875 0.0034
Co 0.8450 0.5875 0.5034
Co 0.8809 0.1191 0.5125
Co 0.9125 0.3450 0.0034
O 0.0000 0.0000 0.6512
O 0.0096 0.3038 0.5033
O 0.1962 0.5096 0.0033
O 0.1959 0.8041 0.0182
O 0.3038 0.0096 0.5033
O 0.3041 0.3041 0.5182
O 0.4904 0.8038 0.0033
O 0.5000 0.5000 0.1512
O 0.5096 0.1962 0.0033
O 0.6959 0.6959 0.5182
O 0.6962 0.9904 0.5033
O 0.8041 0.1959 0.0182
O 0.8038 0.4904 0.0033
O 0.9904 0.6962 0.5033

***

No. 8
The following is a PBE with a Hubbard U calculation of crystalline Na4Co3P4O15 at its relaxed geometry, from Materials Project.

The uncorrected energy comes out at -675.9 eV per cell. Its space-group type is Pna2_1. Its volume is 12.3 Å³/atom. Its formation energy is -2.373 eV/atom.

Unit cell a=18.2452 b=10.6414 c=6.5951 alpha=90.00 beta=90.00 gamma=90.00
Fractional positions:
Na 0.0065 0.0231 0.0000
Na 0.0379 0.4590 0.8546
Na 0.1057 0.7360 0.6086
Na 0.2045 0.2527 0.0324
Na 0.2955 0.7527 0.5324
Na 0.3943 0.2360 0.1086
Na 0.4621 0.9590 0.3546
Na 0.4935 0.5231 0.5000
Na 0.5065 0.4769 0.0000
Na 0.5379 0.0410 0.8546
Na 0.6057 0.7640 0.6086
Na 0.7045 0.2473 0.0324
Na 0.7955 0.7473 0.5324
Na 0.8943 0.2640 0.1086
Na 0.9621 0.5410 0.3546
Na 0.9935 0.9769 0.5000
Co 0.1393 0.0047 0.2731
Co 0.1663 0.4974 0.2838
Co 0.2426 0.7577 0.0062
Co 0.2574 0.2577 0.5062
Co 0.3337 0.9974 0.7838
Co 0.3607 0.5047 0.7731
Co 0.6393 0.4953 0.2731
Co 0.6663 0.0026 0.2838
Co 0.7426 0.7423 0.0062
Co 0.7574 0.2423 0.5062
Co 0.8337 0.5026 0.7838
Co 0.8607 0.9953 0.7731
P 0.0513 0.2723 0.3275
P 0.0684 0.7370 0.1361
P 0.1793 0.0137 0.7686
P 0.2075 0.4982 0.7790
P 0.2925 0.9982 0.2790
P 0.3207 0.5137 0.2686
P 0.4316 0.2370 0.6361
P 0.4487 0.7723 0.8275
P 0.5513 0.2277 0.3275
P 0.5684 0.7630 0.1361
P 0.6793 0.4863 0.7686
P 0.7075 0.0018 0.7790
P 0.7925 0.5018 0.2790
P 0.8207 0.9863 0.2686
P 0.9316 0.2630 0.6361
P 0.9487 0.7277 0.8275
O 0.0093 0.3527 0.1768
O 0.0132 0.3023 0.5511
O 0.0437 0.1301 0.2919
O 0.0576 0.8630 0.2473
O 0.0839 0.6304 0.2869
O 0.1225 0.7431 0.9615
O 0.1272 0.9875 0.5888
O 0.1315 0.3118 0.3515
O 0.1350 0.0429 0.9629
O 0.1562 0.5237 0.6004
O 0.1617 0.4646 0.9688
O 0.2320 0.8974 0.7943
O 0.2342 0.1260 0.7346
O 0.2363 0.8879 0.2401
O 0.2399 0.1146 0.3082
O 0.2601 0.6146 0.8082
O 0.2637 0.3879 0.7401
O 0.2658 0.6260 0.2346
O 0.2680 0.3974 0.2943
O 0.3383 0.9646 0.4688
O 0.3438 0.0237 0.1004
O 0.3650 0.5429 0.4629
O 0.3685 0.8118 0.8515
O 0.3728 0.4875 0.0888
O 0.3775 0.2431 0.4615
O 0.4161 0.1304 0.7869
O 0.4424 0.3630 0.7473
O 0.4563 0.6301 0.7919
O 0.4868 0.8023 0.0511
O 0.4907 0.8527 0.6768
O 0.5093 0.1473 0.1768
O 0.5132 0.1977 0.5511
O 0.5437 0.3699 0.2919
O 0.5576 0.6370 0.2473
O 0.5839 0.8696 0.2869
O 0.6225 0.7569 0.9615
O 0.6272 0.5125 0.5888
O 0.6315 0.1882 0.3515
O 0.6350 0.4571 0.9629
O 0.6562 0.9763 0.6004
O 0.6617 0.0354 0.9688
O 0.7320 0.6026 0.7943
O 0.7342 0.3740 0.7346
O 0.7363 0.6121 0.2401
O 0.7399 0.3854 0.3082
O 0.7601 0.8854 0.8082
O 0.7637 0.1121 0.7401
O 0.7658 0.8740 0.2346
O 0.7680 0.1026 0.2943
O 0.8383 0.5354 0.4688
O 0.8438 0.4763 0.1004
O 0.8650 0.9571 0.4629
O 0.8685 0.6882 0.8515
O 0.8728 0.0125 0.0888
O 0.8775 0.2569 0.4615
O 0.9161 0.3696 0.7869
O 0.9424 0.1370 0.7473
O 0.9563 0.8699 0.7919
O 0.9868 0.6977 0.0511
O 0.9907 0.6473 0.6768

***

No. 9
The following is a PBE with a Hubbard U calculation of crystalline Na4Co7P6O24 at its relaxed geometry, from Materials Project.

The uncorrected energy comes out at -271.3 eV per cell. Its space-group type is Cm. Its volume is 11.9 Å³/atom. Its formation energy is -2.267 eV/atom.

Unit cell a=9.0131 b=9.0131 c=6.5402 alpha=99.27 beta=99.27 gamma=107.80
Fractional positions:
Na 0.0000 0.0000 0.0000
Na 0.2317 0.4610 0.9690
Na 0.4610 0.2317 0.9690
Na 0.6166 0.6166 0.9220
Co 0.2780 0.5930 0.4819
Co 0.2975 0.9250 0.2956
Co 0.5801 0.9372 0.6622
Co 0.5930 0.2780 0.4819
Co 0.9250 0.2975 0.2956
Co 0.9356 0.9356 0.4763
Co 0.9372 0.5801 0.6622
P 0.0208 0.6550 0.1901
P 0.2186 0.8440 0.7685
P 0.2611 0.2611 0.5364
P 0.6073 0.6073 0.4025
P 0.6550 0.0208 0.1901
P 0.8440 0.2186 0.7685
O 0.0385 0.8288 0.6961
O 0.0448 0.8375 0.2598
O 0.1355 0.1355 0.6057
O 0.1783 0.3541 0.3953
O 0.2006 0.6604 0.2092
O 0.2084 0.6642 0.7543
O 0.2830 0.9567 0.9900
O 0.3279 0.9069 0.6161
O 0.3541 0.1783 0.3953
O 0.3822 0.3822 0.7304
O 0.4884 0.4884 0.2070
O 0.5165 0.6881 0.5517
O 0.5475 0.9568 0.3436
O 0.5904 0.9127 0.9668
O 0.6604 0.2006 0.2092
O 0.6642 0.2084 0.7543
O 0.6881 0.5165 0.5517
O 0.7354 0.7354 0.3403
O 0.8288 0.0385 0.6961
O 0.8375 0.0448 0.2598
O 0.9069 0.3279 0.6161
O 0.9127 0.5904 0.9668
O 0.9567 0.2830 0.9900
O 0.9568 0.5475 0.3436

***

No. 10
The following is a PBE with a Hubbard U calculation of crystalline NaCoPO4 at its relaxed geometry, from Materials Project.

The uncorrected energy comes out at -181.9 eV per cell. Its space-group type is Pnma. Its volume is 11.2 Å³/atom. Its formation energy is -2.317 eV/atom.

Unit cell a=8.9750 b=6.8703 c=5.0798 alpha=90.00 beta=90.00 gamma=90.00
Fractional positions:
Na 0.1492 0.2500 0.0339
Na 0.3508 0.7500 0.5339
Na 0.6492 0.2500 0.4661
Na 0.8508 0.7500 0.9661
Co 0.0000 0.0000 0.5000
Co 0.0000 0.5000 0.5000
Co 0.5000 0.0000 0.0000
Co 0.5000 0.5000 0.0000
P 0.1764 0.7500 0.0393
P 0.3236 0.2500 0.5393
P 0.6764 0.7500 0.4607
P 0.8236 0.2500 0.9607
O 0.1163 0.7500 0.7513
O 0.1220 0.5657 0.1848
O 0.1220 0.9343 0.1848
O 0.1478 0.2500 0.5503
O 0.3522 0.7500 0.0503
O 0.3780 0.0657 0.6848
O 0.3780 0.4343 0.6848
O 0.3837 0.2500 0.2513
O 0.6163 0.7500 0.7487
O 0.6220 0.5657 0.3152
O 0.6220 0.9343 0.3152
O 0.6478 0.2500 0.9497
O 0.8522 0.7500 0.4497
O 0.8780 0.0657 0.8152
O 0.8780 0.4343 0.8152
O 0.8837 0.2500 0.2487

***

No. 11
The following is a PBE with a Hubbard U calculation of crystalline NaCoPO4 at its relaxed geometry, from Materials Project.

The uncorrected energy comes out at -182.8 eV per cell. Its space-group type is P2_1/c. Its volume is 14.3 Å³/atom. Its formation energy is -2.350 eV/atom.

Unit cell a=5.2988 b=10.1379 c=9.1462 alpha=90.00 beta=125.17 gamma=90.00
Fractional positions:
Na 0.2000 0.1189 0.4842
Na 0.2000 0.3811 0.9842
Na 0.8000 0.6189 0.0158
Na 0.8000 0.8811 0.5158
Co 0.3048 0.6693 0.5079
Co 0.3048 0.8307 0.0079
Co 0.6952 0.1693 0.9921
Co 0.6952 0.3307 0.4921
P 0.4200 0.0989 0.2201
P 0.4200 0.4011 0.7201
P 0.5800 0.5989 0.2799
P 0.5800 0.9011 0.7799
O 0.1159 0.1302 0.2022
O 0.1159 0.3698 0.7022
O 0.3055 0.6442 0.0879
O 0.3055 0.8558 0.5879
O 0.4189 0.1730 0.0718
O 0.4189 0.3270 0.5718
O 0.4649 0.5518 0.7142
O 0.4649 0.9482 0.2142
O 0.5351 0.0518 0.7858
O 0.5351 0.4482 0.2858
O 0.5811 0.6730 0.4282
O 0.5811 0.8270 0.9282
O 0.6945 0.1442 0.4121
O 0.6945 0.3558 0.9121
O 0.8841 0.6302 0.2978
O 0.8841 0.8698 0.7978